{"formula": "Mn2Mo3O8", "functional": "PBE with a Hubbard U", "state": "relaxed", "lattice": [[5.904, 0.000, 0.000], [-2.952, 5.113, 0.000], [0.000, 0.000, 10.440]], "species": ["Mn", "Mn", "Mn", "Mn", "Mo", "Mo", "Mo", "Mo", "Mo", "Mo", "O", "O", "O", "O", "O", "O", "O", "O", "O", "O", "O", "O", "O", "O", "O", "O"], "frac_coords": [[0.333, 0.667, 0.000], [0.333, 0.667, 0.436], [0.667, 0.333, 0.500], [0.667, 0.333, 0.936], [0.146, 0.292, 0.735], [0.146, 0.854, 0.735], [0.292, 0.146, 0.235], [0.708, 0.854, 0.735], [0.854, 0.146, 0.235], [0.854, 0.708, 0.235], [0.000, 0.000, 0.374], [0.000, 0.000, 0.874], [0.026, 0.513, 0.844], [0.165, 0.329, 0.121], [0.165, 0.835, 0.121], [0.329, 0.165, 0.621], [0.333, 0.667, 0.633], [0.487, 0.513, 0.844], [0.487, 0.974, 0.844], [0.513, 0.026, 0.344], [0.513, 0.487, 0.344], [0.667, 0.333, 0.133], [0.671, 0.835, 0.121], [0.835, 0.165, 0.621], [0.835, 0.671, 0.621], [0.974, 0.487, 0.344]], "space_group": "P6_3mc (186)", "ef_mev_per_atom": -1744}



{"formula": "Li9Mn2Co5O16", "functional": "PBE with a Hubbard U", "state": "relaxed", "lattice": [[19.437, -1.435, 0.000], [19.437, 1.435, 0.000], [-0.214, 0.000, 5.131]], "species": ["Li", "Li", "Li", "Li", "Li", "Li", "Li", "Li", "Li", "Mn", "Mn", "Co", "Co", "Co", "Co", "Co", "O", "O", "O", "O", "O", "O", "O", "O", "O", "O", "O", "O", "O", "O", "O", "O"], "frac_coords": [[0.000, 0.000, 0.000], [0.131, 0.131, 0.389], [0.190, 0.190, 0.067], [0.251, 0.251, 0.736], [0.377, 0.377, 0.131], [0.500, 0.500, 0.498], [0.635, 0.635, 0.913], [0.748, 0.748, 0.232], [0.877, 0.877, 0.623], [0.565, 0.565, 0.192], [0.690, 0.690, 0.564], [0.065, 0.065, 0.692], [0.314, 0.314, 0.435], [0.440, 0.440, 0.814], [0.814, 0.814, 0.935], [0.939, 0.939, 0.313], [0.036, 0.036, 0.321], [0.093, 0.093, 0.061], [0.162, 0.162, 0.712], [0.217, 0.217, 0.420], [0.288, 0.288, 0.080], [0.341, 0.341, 0.792], [0.411, 0.411, 0.473], [0.469, 0.469, 0.159], [0.538, 0.538, 0.864], [0.591, 0.591, 0.518], [0.660, 0.660, 0.255], [0.719, 0.719, 0.874], [0.785, 0.785, 0.578], [0.844, 0.844, 0.291], [0.910, 0.910, 0.970], [0.970, 0.970, 0.659]], "space_group": "Cm (8)", "ef_mev_per_atom": -1756, "relative_energy_ev_per_atom": 0.108}



{"formula": "MoO3", "functional": "PBE with a Hubbard U", "state": "relaxed", "lattice": [[14.425, 0.000, 0.000], [0.000, 3.761, 0.000], [0.000, 0.000, 3.969]], "species": ["Mo", "Mo", "Mo", "Mo", "O", "O", "O", "O", "O", "O", "O", "O", "O", "O", "O", "O"], "frac_coords": [[0.102, 0.250, 0.076], [0.398, 0.750, 0.576], [0.602, 0.250, 0.424], [0.898, 0.750, 0.924], [0.065, 0.750, 0.004], [0.088, 0.250, 0.522], [0.220, 0.250, 0.037], [0.280, 0.750, 0.537], [0.412, 0.750, 0.022], [0.435, 0.250, 0.504], [0.565, 0.750, 0.496], [0.588, 0.250, 0.978], [0.720, 0.250, 0.463], [0.780, 0.750, 0.963], [0.912, 0.750, 0.478], [0.935, 0.250, 0.996]], "space_group": "Pnma (62)", "ef_mev_per_atom": -1885}



{"formula": "Li2V2P3O12", "functional": "PBE with a Hubbard U", "state": "relaxed", "lattice": [[8.657, 0.000, 0.000], [-0.101, 8.661, 0.000], [-4.227, -4.353, 6.202]], "species": ["Li", "Li", "Li", "Li", "V", "V", "V", "V", "P", "P", "P", "P", "P", "P", "O", "O", "O", "O", "O", "O", "O", "O", "O", "O", "O", "O", "O", "O", "O", "O", "O", "O", "O", "O", "O", "O", "O", "O"], "frac_coords": [[0.178, 0.050, 0.238], [0.320, 0.546, 0.874], [0.680, 0.454, 0.126], [0.822, 0.950, 0.762], [0.139, 0.856, 0.716], [0.364, 0.643, 0.281], [0.636, 0.357, 0.719], [0.861, 0.144, 0.284], [0.032, 0.249, 0.782], [0.252, 0.465, 0.506], [0.457, 0.965, 0.206], [0.543, 0.035, 0.794], [0.748, 0.535, 0.494], [0.968, 0.751, 0.218], [0.010, 0.800, 0.437], [0.049, 0.077, 0.796], [0.093, 0.268, 0.338], [0.133, 0.711, 0.203], [0.189, 0.615, 0.637], [0.217, 0.415, 0.954], [0.266, 0.941, 0.016], [0.301, 0.508, 0.383], [0.377, 0.982, 0.797], [0.414, 0.449, 0.680], [0.439, 0.769, 0.169], [0.464, 0.113, 0.407], [0.536, 0.887, 0.593], [0.561, 0.231, 0.831], [0.586, 0.551, 0.320], [0.623, 0.018, 0.203], [0.699, 0.492, 0.617], [0.734, 0.059, 0.984], [0.783, 0.585, 0.046], [0.811, 0.385, 0.363], [0.867, 0.289, 0.797], [0.907, 0.732, 0.662], [0.951, 0.923, 0.204], [0.990, 0.200, 0.563]], "space_group": "P-1 (2)", "ef_mev_per_atom": -2688, "relative_energy_ev_per_atom": 0.008}



{"formula": "K4Na4MoW7O24", "functional": "PBE with a Hubbard U", "state": "relaxed", "lattice": [[8.032, 0.000, 0.000], [0.000, 8.032, 0.000], [0.000, 0.000, 8.009]], "species": ["K", "K", "K", "K", "Na", "Na", "Na", "Na", "Mo", "W", "W", "W", "W", "W", "W", "W", "O", "O", "O", "O", "O", "O", "O", "O", "O", "O", "O", "O", "O", "O", "O", "O", "O", "O", "O", "O", "O", "O", "O", "O"], "frac_coords": [[0.248, 0.248, 0.000], [0.248, 0.752, 0.000], [0.752, 0.248, 0.000], [0.752, 0.752, 0.000], [0.248, 0.248, 0.496], [0.248, 0.752, 0.496], [0.752, 0.248, 0.496], [0.752, 0.752, 0.496], [0.000, 0.000, 0.250], [0.000, 0.000, 0.746], [0.000, 0.500, 0.250], [0.000, 0.500, 0.746], [0.500, 0.000, 0.250], [0.500, 0.000, 0.746], [0.500, 0.500, 0.250], [0.500, 0.500, 0.746], [0.000, 0.000, 0.506], [0.000, 0.000, 0.987], [0.000, 0.254, 0.744], [0.000, 0.261, 0.253], [0.000, 0.500, 0.002], [0.000, 0.500, 0.495], [0.000, 0.739, 0.253], [0.000, 0.746, 0.744], [0.243, 0.500, 0.252], [0.245, 0.500, 0.744], [0.254, 0.000, 0.744], [0.261, 0.000, 0.253], [0.500, 0.000, 0.002], [0.500, 0.000, 0.495], [0.500, 0.243, 0.252], [0.500, 0.245, 0.744], [0.500, 0.500, 0.010], [0.500, 0.500, 0.488], [0.500, 0.755, 0.744], [0.500, 0.757, 0.252], [0.739, 0.000, 0.253], [0.746, 0.000, 0.744], [0.755, 0.500, 0.744], [0.757, 0.500, 0.252]], "space_group": "P4mm (99)", "ef_mev_per_atom": -2174}



{"formula": "Li9Mn2Co5O16", "functional": "PBE with a Hubbard U", "state": "relaxed", "lattice": [[5.943, 0.000, 0.000], [0.000, 2.869, 0.000], [-0.135, 0.000, 16.881]], "species": ["Li", "Li", "Li", "Li", "Li", "Li", "Li", "Li", "Li", "Mn", "Mn", "Co", "Co", "Co", "Co", "Co", "O", "O", "O", "O", "O", "O", "O", "O", "O", "O", "O", "O", "O", "O", "O", "O"], "frac_coords": [[0.000, 0.000, 0.000], [0.002, 0.000, 0.489], [0.242, 0.500, 0.130], [0.250, 0.500, 0.616], [0.498, 0.000, 0.746], [0.508, 0.000, 0.247], [0.746, 0.500, 0.875], [0.755, 0.500, 0.368], [0.988, 0.000, 0.247], [0.753, 0.500, 0.125], [0.998, 0.000, 0.747], [0.239, 0.500, 0.360], [0.252, 0.500, 0.874], [0.490, 0.000, 0.492], [0.494, 0.000, 0.997], [0.742, 0.500, 0.617], [0.013, 0.000, 0.370], [0.014, 0.000, 0.862], [0.219, 0.500, 0.745], [0.252, 0.500, 0.250], [0.260, 0.500, 0.496], [0.260, 0.500, 0.999], [0.482, 0.000, 0.373], [0.488, 0.000, 0.875], [0.512, 0.000, 0.622], [0.527, 0.000, 0.118], [0.734, 0.500, 0.499], [0.735, 0.500, 0.002], [0.747, 0.500, 0.233], [0.776, 0.500, 0.747], [0.969, 0.000, 0.120], [0.983, 0.000, 0.631]], "space_group": "Pm (6)", "ef_mev_per_atom": -1798, "relative_energy_ev_per_atom": 0.066}